[1]
Li2HfO3 PBE-GGA optimized geometry; electronic total energy = -0.2791 Ha/atom; formation energy from the elements = -3.168 eV per atom
1.0
0.861 -0.380 -5.182
2.173 -3.638 3.127
-2.908 -4.386 -1.261
Hf O Li
2 6 4
Direct
0.591 0.409 0.250 Hf
0.409 0.591 0.750 Hf
0.652 0.803 0.985 O
0.348 0.197 0.015 O
0.803 0.652 0.485 O
0.000 0.500 0.000 O
0.500 0.000 0.500 O
0.197 0.348 0.515 O
0.076 0.924 0.750 Li
0.924 0.076 0.250 Li
0.758 0.242 0.750 Li
0.242 0.758 0.250 Li

[2]
Na6TeP6H18O30 PBE-GGA optimized geometry; electronic total energy = -0.2118 Ha/atom; formation energy from the elements = -1.953 eV per atom
1.0
-0.328 -0.253 -11.766
3.558 -9.487 5.995
-11.475 -4.047 0.407
P H Na O Te
12 36 12 60 2
Direct
0.750 0.498 0.007 P
0.498 0.747 0.507 P
0.498 0.747 0.993 P
0.250 0.502 0.993 P
0.250 0.502 0.507 P
0.502 0.253 0.007 P
0.747 0.250 0.007 P
0.253 0.750 0.507 P
0.747 0.250 0.493 P
0.253 0.750 0.993 P
0.502 0.253 0.493 P
0.750 0.498 0.493 P
0.151 0.221 0.428 H
0.930 0.151 0.572 H
0.849 0.779 0.572 H
0.905 0.304 0.686 H
0.084 0.372 0.315 H
0.372 0.288 0.685 H
0.084 0.372 0.185 H
0.696 0.601 0.814 H
0.849 0.779 0.928 H
0.399 0.095 0.814 H
0.930 0.151 0.928 H
0.151 0.221 0.072 H
0.221 0.070 0.928 H
0.288 0.916 0.185 H
0.070 0.849 0.428 H
0.070 0.849 0.072 H
0.095 0.696 0.186 H
0.916 0.628 0.685 H
0.712 0.084 0.815 H
0.601 0.905 0.314 H
0.221 0.070 0.572 H
0.304 0.399 0.314 H
0.372 0.288 0.815 H
0.628 0.712 0.185 H
0.628 0.712 0.315 H
0.696 0.601 0.686 H
0.288 0.916 0.315 H
0.779 0.930 0.072 H
0.095 0.696 0.314 H
0.601 0.905 0.186 H
0.916 0.628 0.815 H
0.779 0.930 0.428 H
0.712 0.084 0.685 H
0.905 0.304 0.814 H
0.399 0.095 0.686 H
0.304 0.399 0.186 H
0.429 0.559 0.750 Na
0.559 0.129 0.250 Na
0.153 0.871 0.750 Na
0.871 0.718 0.250 Na
0.571 0.441 0.250 Na
0.441 0.871 0.750 Na
0.871 0.429 0.250 Na
0.282 0.153 0.250 Na
0.129 0.571 0.750 Na
0.718 0.847 0.750 Na
0.129 0.282 0.750 Na
0.847 0.129 0.250 Na
0.594 0.190 0.528 O
0.974 0.650 0.750 O
0.026 0.350 0.250 O
0.404 0.594 0.028 O
0.865 0.867 0.906 O
0.190 0.596 0.472 O
0.389 0.196 0.928 O
0.406 0.810 0.028 O
0.133 0.998 0.594 O
0.611 0.804 0.072 O
0.196 0.806 0.428 O
0.962 0.345 0.750 O
0.998 0.865 0.406 O
0.038 0.655 0.250 O
0.196 0.806 0.072 O
0.810 0.404 0.528 O
0.135 0.133 0.406 O
0.806 0.611 0.928 O
0.596 0.406 0.528 O
0.650 0.675 0.250 O
0.806 0.611 0.572 O
0.002 0.135 0.906 O
0.404 0.594 0.472 O
0.804 0.194 0.928 O
0.345 0.383 0.250 O
0.135 0.133 0.094 O
0.242 0.762 0.872 O
0.596 0.406 0.972 O
0.350 0.325 0.750 O
0.655 0.617 0.750 O
0.133 0.998 0.906 O
0.865 0.867 0.594 O
0.758 0.238 0.128 O
0.611 0.804 0.428 O
0.383 0.038 0.750 O
0.594 0.190 0.972 O
0.762 0.520 0.372 O
0.194 0.389 0.072 O
0.406 0.810 0.472 O
0.194 0.389 0.428 O
0.998 0.865 0.094 O
0.762 0.520 0.128 O
0.238 0.480 0.628 O
0.480 0.242 0.128 O
0.617 0.962 0.250 O
0.242 0.762 0.628 O
0.810 0.404 0.972 O
0.325 0.974 0.250 O
0.675 0.026 0.750 O
0.190 0.596 0.028 O
0.804 0.194 0.572 O
0.238 0.480 0.872 O
0.389 0.196 0.572 O
0.480 0.242 0.372 O
0.867 0.002 0.094 O
0.002 0.135 0.594 O
0.867 0.002 0.406 O
0.520 0.758 0.628 O
0.758 0.238 0.372 O
0.520 0.758 0.872 O
0.000 0.000 0.000 Te
0.000 0.000 0.500 Te

[3]
Mg5Zn PBE-GGA optimized geometry; electronic total energy = -0.0567 Ha/atom; formation energy from the elements = 0.000 eV per atom
1.0
0.561 4.895 2.077
-1.658 -4.040 3.086
4.873 -1.073 1.212
Zn Mg
1 5
Direct
0.000 0.000 0.000 Zn
0.333 0.667 0.000 Mg
0.667 0.333 0.000 Mg
0.672 0.000 0.500 Mg
0.328 0.328 0.500 Mg
0.000 0.672 0.500 Mg

[4]
Ba3LiTi5Sb3O21 PBE-GGA optimized geometry; electronic total energy = -0.2753 Ha/atom; formation energy from the elements = -2.976 eV per atom
1.0
9.189 0.000 0.000
4.589 7.972 0.000
0.026 0.015 11.775
O Ba Sb Ti Li
42 6 6 10 2
Direct
0.477 0.830 0.397 O
0.164 0.508 0.394 O
0.213 0.993 0.569 O
0.199 0.789 0.429 O
0.007 0.199 0.070 O
0.826 0.478 0.897 O
0.323 0.166 0.400 O
0.805 0.994 0.427 O
0.175 0.513 0.104 O
0.833 0.491 0.599 O
0.315 0.520 0.600 O
0.690 0.482 0.101 O
0.166 0.317 0.901 O
0.511 0.165 0.894 O
0.519 0.313 0.101 O
0.213 0.794 0.070 O
0.490 0.681 0.606 O
0.796 0.992 0.083 O
0.209 0.792 0.749 O
0.492 0.829 0.099 O
0.795 0.211 0.252 O
0.321 0.167 0.108 O
0.512 0.175 0.605 O
0.839 0.676 0.092 O
0.680 0.490 0.396 O
0.208 0.996 0.917 O
0.785 0.214 0.569 O
0.006 0.789 0.250 O
0.794 0.197 0.929 O
0.793 0.008 0.750 O
0.826 0.685 0.389 O
0.996 0.208 0.746 O
0.516 0.315 0.398 O
0.486 0.681 0.900 O
0.167 0.317 0.603 O
0.685 0.826 0.894 O
0.994 0.793 0.583 O
0.002 0.210 0.429 O
0.315 0.513 0.897 O
0.202 0.998 0.251 O
0.674 0.846 0.593 O
0.995 0.799 0.927 O
0.993 0.403 0.245 Ba
0.401 0.600 0.248 Ba
0.597 0.998 0.252 Ba
0.402 0.999 0.747 Ba
0.999 0.595 0.755 Ba
0.601 0.400 0.752 Ba
0.663 0.672 0.499 Sb
0.333 0.336 0.501 Sb
0.999 0.751 0.417 Sb
0.335 0.331 0.001 Sb
0.246 0.997 0.085 Sb
0.755 0.997 0.917 Sb
0.252 0.008 0.413 Ti
0.261 0.748 0.594 Ti
0.745 0.263 0.096 Ti
0.994 0.260 0.903 Ti
0.996 0.262 0.587 Ti
0.265 0.738 0.906 Ti
0.742 0.264 0.411 Ti
0.999 0.739 0.093 Ti
0.741 0.011 0.593 Ti
0.664 0.671 0.998 Ti
0.993 0.002 0.259 Li
0.007 0.998 0.755 Li

[5]
Fe3Ge PBE-GGA optimized geometry; electronic total energy = -0.2798 Ha/atom; formation energy from the elements = -0.105 eV per atom
1.0
-2.874 -2.874 0.000
-2.874 0.000 -2.874
0.000 -2.874 -2.874
Fe Ge
3 1
Direct
0.500 0.500 0.500 Fe
0.250 0.250 0.250 Fe
0.750 0.750 0.750 Fe
0.000 0.000 0.000 Ge

[6]
Na4ZrZnSiP2O12 PBE-GGA optimized geometry; electronic total energy = -0.2457 Ha/atom; formation energy from the elements = -2.758 eV per atom
1.0
-5.492 -5.520 4.832
8.220 2.392 3.383
-9.122 17.820 9.990
O P Na Zr Zn Si
72 12 24 6 6 6
Direct
0.196 0.031 0.588 O
0.514 0.638 0.863 O
0.555 0.854 0.478 O
0.166 0.470 0.255 O
0.863 0.361 0.922 O
0.192 0.174 0.088 O
0.016 0.818 0.414 O
0.477 0.114 0.641 O
0.818 0.032 0.812 O
0.124 0.483 0.863 O
0.308 0.827 0.254 O
0.455 0.304 0.030 O
0.505 0.153 0.921 O
0.787 0.818 0.196 O
0.835 0.031 0.088 O
0.841 0.815 0.588 O
0.459 0.150 0.530 O
0.305 0.451 0.475 O
0.648 0.153 0.421 O
0.500 0.651 0.582 O
0.165 0.989 0.911 O
0.184 0.208 0.696 O
0.340 0.858 0.579 O
0.139 0.491 0.578 O
0.846 0.528 0.747 O
0.541 0.686 0.975 O
0.639 0.502 0.922 O
0.475 0.358 0.141 O
0.299 0.854 0.978 O
0.518 0.858 0.079 O
0.803 0.818 0.914 O
0.519 0.827 0.754 O
0.304 0.470 0.755 O
0.974 0.189 0.308 O
0.525 0.687 0.255 O
0.215 0.189 0.808 O
0.691 0.150 0.030 O
0.359 0.483 0.363 O
0.883 0.358 0.641 O
0.862 0.502 0.422 O
0.181 0.194 0.414 O
0.351 0.491 0.078 O
0.976 0.785 0.808 O
0.982 0.174 0.588 O
0.151 0.651 0.082 O
0.145 0.686 0.475 O
0.488 0.166 0.246 O
0.512 0.875 0.360 O
0.875 0.514 0.145 O
0.678 0.166 0.746 O
0.809 0.785 0.308 O
0.696 0.539 0.527 O
0.124 0.638 0.363 O
0.025 0.208 0.196 O
0.363 0.875 0.860 O
0.177 0.972 0.194 O
0.974 0.815 0.088 O
0.849 0.304 0.530 O
0.498 0.361 0.422 O
0.843 0.539 0.027 O
0.847 0.320 0.247 O
0.146 0.451 0.975 O
0.473 0.320 0.747 O
0.162 0.687 0.755 O
0.795 0.972 0.694 O
0.215 0.032 0.312 O
0.825 0.989 0.411 O
0.637 0.114 0.141 O
0.639 0.514 0.645 O
0.682 0.528 0.247 O
0.013 0.194 0.914 O
0.031 0.818 0.696 O
0.704 0.703 0.253 P
0.000 0.703 0.753 P
0.001 0.295 0.252 P
0.626 0.666 0.920 P
0.965 0.336 0.585 P
0.667 0.037 0.086 P
0.295 0.295 0.752 P
0.370 0.037 0.586 P
0.332 0.371 0.419 P
0.040 0.666 0.420 P
0.371 0.336 0.085 P
0.039 0.371 0.919 P
0.662 0.325 0.326 Na
0.993 0.996 0.492 Na
0.042 0.353 0.082 Na
0.381 0.020 0.747 Na
0.320 0.027 0.410 Na
0.303 0.949 0.078 Na
0.375 0.355 0.248 Na
0.980 0.355 0.748 Na
0.003 0.996 0.992 Na
0.985 0.624 0.242 Na
0.038 0.692 0.579 Na
0.327 0.668 0.159 Na
0.639 0.624 0.742 Na
0.646 0.949 0.578 Na
0.970 0.285 0.412 Na
0.709 0.689 0.416 Na
0.341 0.668 0.659 Na
0.312 0.353 0.582 Na
0.639 0.020 0.247 Na
0.663 0.325 0.826 Na
0.707 0.027 0.910 Na
0.315 0.285 0.912 Na
0.980 0.689 0.916 Na
0.654 0.692 0.079 Na
0.667 0.334 0.483 Zr
0.992 0.995 0.649 Zr
0.003 0.995 0.149 Zr
0.667 0.334 0.983 Zr
0.337 0.675 0.316 Zr
0.339 0.675 0.816 Zr
0.320 0.669 0.012 Zn
0.665 0.330 0.179 Zn
0.349 0.669 0.512 Zn
0.000 0.001 0.346 Zn
0.665 0.330 0.679 Zn
0.001 0.001 0.846 Zn
0.300 0.005 0.253 Si
0.638 0.967 0.419 Si
0.664 0.627 0.586 Si
0.963 0.627 0.086 Si
0.329 0.967 0.919 Si
0.704 0.005 0.753 Si

[7]
RbP2Ir2 PBE-GGA optimized geometry; electronic total energy = -0.2401 Ha/atom; formation energy from the elements = -0.638 eV per atom
1.0
4.715 3.548 4.614
1.950 7.119 1.279
-5.371 -5.120 -1.029
Ir Rb P
2 1 2
Direct
0.750 0.250 0.500 Ir
0.250 0.750 0.500 Ir
0.000 0.000 0.000 Rb
0.657 0.657 0.000 P
0.343 0.343 0.000 P

[8]
Ag2Hg7P8Br6 PBE-GGA optimized geometry; electronic total energy = -0.1055 Ha/atom; formation energy from the elements = -0.360 eV per atom
1.0
-0.611 -5.986 -6.139
0.703 5.018 -6.944
8.066 -1.075 -1.515
Hg Br P Ag
7 6 8 2
Direct
0.733 0.367 0.235 Hg
0.000 0.000 0.000 Hg
0.267 0.633 0.765 Hg
0.274 0.274 0.133 Hg
0.367 0.733 0.235 Hg
0.726 0.726 0.867 Hg
0.633 0.267 0.765 Hg
0.645 0.645 0.543 Br
0.950 0.362 0.853 Br
0.362 0.950 0.853 Br
0.638 0.050 0.147 Br
0.050 0.638 0.147 Br
0.355 0.355 0.457 Br
0.763 0.076 0.575 P
0.563 0.563 0.068 P
0.924 0.237 0.425 P
0.237 0.924 0.425 P
0.437 0.437 0.932 P
0.087 0.087 0.256 P
0.076 0.763 0.575 P
0.913 0.913 0.744 P
0.500 0.000 0.500 Ag
0.000 0.500 0.500 Ag

[9]
YSbO4 PBE-GGA optimized geometry; electronic total energy = -0.2741 Ha/atom; formation energy from the elements = -2.851 eV per atom
1.0
-4.840 0.686 2.333
3.165 -2.287 6.623
2.287 6.740 2.638
O Sb Y
16 4 4
Direct
0.389 0.675 0.442 O
0.130 0.671 0.940 O
0.404 0.431 0.195 O
0.611 0.325 0.558 O
0.995 0.168 0.380 O
0.046 0.884 0.178 O
0.917 0.562 0.309 O
0.463 0.190 0.876 O
0.596 0.569 0.805 O
0.537 0.810 0.124 O
0.513 0.111 0.321 O
0.005 0.832 0.620 O
0.954 0.116 0.822 O
0.083 0.438 0.691 O
0.487 0.889 0.679 O
0.870 0.329 0.060 O
0.758 0.337 0.804 Sb
0.727 0.334 0.307 Sb
0.273 0.666 0.693 Sb
0.242 0.663 0.196 Sb
0.262 0.135 0.613 Y
0.214 0.159 0.108 Y
0.786 0.841 0.892 Y
0.738 0.865 0.387 Y